## EuBRh3 (meta-GGA r2SCAN)

Data for crystalline EuBRh3 at its relaxed geometry.

a b c (Å): 4.226 4.226 4.226
angles (deg): 90.00 90.00 90.00
Fractional coordinates of all 5 atoms:
1 Rh 0.500 0.500 0.000
2 Rh 0.000 0.500 0.500
3 Rh 0.500 0.000 0.500
4 Eu 0.000 0.000 0.000
5 B 0.500 0.500 0.500

Summary:
Space group: Pm-3m
Calculated volume in Å³/cell: 75

---

## EuMn2P2 (meta-GGA r2SCAN)

Data for crystalline EuMn2P2 at its relaxed geometry.

a b c (Å): 3.910 3.910 6.914
angles (deg): 90.00 90.00 120.00
Fractional coordinates of all 5 atoms:
1 P 0.667 0.333 0.279
2 P 0.333 0.667 0.721
3 Mn 0.333 0.667 0.383
4 Mn 0.667 0.333 0.617
5 Eu 0.000 0.000 0.000

Summary:
Space group: P-3m1
Calculated volume in Å³/cell: 92

---

## TbHo (meta-GGA r2SCAN)

Data for crystalline TbHo at its relaxed geometry.

a b c (Å): 3.604 3.604 5.767
angles (deg): 90.00 90.00 120.00
Fractional coordinates of all 2 atoms:
1 Ho 0.333 0.667 0.500
2 Tb 0.000 0.000 0.000

Summary:
Space group: P-6m2
Calculated volume in Å³/cell: 65

---

## BaPd2 (meta-GGA r2SCAN)

Data for crystalline BaPd2 at its relaxed geometry.

a b c (Å): 5.701 5.701 5.701
angles (deg): 60.00 60.00 60.00
Fractional coordinates of all 6 atoms:
1 Ba 0.875 0.875 0.875
2 Ba 0.125 0.125 0.125
3 Pd 0.000 0.500 0.500
4 Pd 0.500 0.500 0.500
5 Pd 0.500 0.000 0.500
6 Pd 0.500 0.500 0.000

Summary:
Space group: Fd-3m
Calculated volume in Å³/cell: 131

---

| no. | uncorrected energy (eV/atom) |
| --- | --- |
| 1 | -24.170 |
| 2 | -18.043 |
| 3 | -32.066 |
| 4 | -24.716 |